[1]
Material: Na4Sc3TaSi3S3O24
Method: DFT, PBE
State: relaxed

## Properties
E_form (eV/atom): -2.828
Final energy (eV/atom): -7.2255

```
data_Na4Sc3TaSi3S3O24
_space_group_name_H-M_alt 'P 1'
_space_group_IT_number 1
_cell_length_a 9.0130
_cell_length_b 9.0162
_cell_length_c 23.0241
_cell_angle_alpha 89.93
_cell_angle_beta 89.85
_cell_angle_gamma 60.09
loop_
_space_group_symop_operation_xyz
'x,y,z'
loop_
_atom_site_label
_atom_site_fract_x
_atom_site_fract_y
_atom_site_fract_z
_atom_site_occupancy
Na1 0.0000 0.0000 0.0000 1
Na2 0.0008 0.0000 0.4972 1
Na3 0.3221 0.3327 0.8379 1
Na4 0.3326 0.6939 0.5755 1
Na5 0.3344 0.3437 0.3251 1
Na6 0.6263 0.3737 0.7447 1
Na7 0.6373 0.9933 0.2407 1
Na8 0.6533 0.6657 0.1649 1
Na9 0.6672 0.6781 0.6559 1
Na10 0.6931 0.9750 0.5760 1
Na11 0.9749 0.3323 0.5757 1
Na12 0.9986 0.3676 0.2409 1
Sc1 0.0023 0.9975 0.6382 1
Sc2 0.0023 0.9982 0.1460 1
Sc3 0.3276 0.3322 0.6740 1
Sc4 0.3341 0.3332 0.4811 1
Sc5 0.3346 0.3336 0.9701 1
Sc6 0.3351 0.3403 0.1852 1
Sc7 0.6607 0.6665 0.3053 1
Sc8 0.6667 0.6658 0.5149 1
Sc9 0.6678 0.6716 0.8140 1
Ta1 0.0022 0.9983 0.3420 1
Ta2 0.0026 0.9984 0.8557 1
Ta3 0.6671 0.6662 0.0076 1
Si1 0.0011 0.7086 0.2434 1
Si2 0.0422 0.6235 0.5769 1
Si3 0.2932 0.9979 0.2419 1
Si4 0.3347 0.0422 0.5771 1
Si5 0.3796 0.9587 0.9096 1
Si6 0.6238 0.3340 0.5799 1
Si7 0.6629 0.3793 0.9069 1
Si8 0.7103 0.2908 0.2429 1
Si9 0.9593 0.6618 0.9093 1
S1 0.0017 0.2872 0.7454 1
S2 0.0348 0.3384 0.0768 1
S3 0.2892 0.7106 0.7455 1
S4 0.3383 0.6259 0.0760 1
S5 0.3667 0.6704 0.4105 1
S6 0.6272 0.0344 0.0768 1
S7 0.6705 0.9634 0.4096 1
S8 0.7126 0.9992 0.7455 1
S9 0.9639 0.3664 0.4095 1
O1 0.0123 0.1861 0.0792 1
O2 0.0139 0.1783 0.7969 1
O3 0.0171 0.8150 0.5858 1
O4 0.0280 0.8067 0.3017 1
O5 0.1082 0.3619 0.1314 1
O6 0.1209 0.4988 0.6335 1
O7 0.1363 0.3465 0.4125 1
O8 0.1416 0.3227 0.0264 1
O9 0.1478 0.5078 0.9206 1
O10 0.1571 0.3024 0.7443 1
O11 0.1654 0.0276 0.3003 1
O12 0.1674 0.5188 0.2391 1
O13 0.1678 0.5447 0.5212 1
O14 0.1688 0.0162 0.5862 1
O15 0.1813 0.8078 0.7968 1
O16 0.1867 0.7999 0.0798 1
O17 0.1891 0.9687 0.9011 1
O18 0.1919 0.8306 0.4047 1
O19 0.2065 0.9656 0.1864 1
O20 0.2082 0.8062 0.6916 1
O21 0.2873 0.1680 0.5213 1
O22 0.3004 0.1754 0.2382 1
O23 0.3056 0.5381 0.7457 1
O24 0.3217 0.5395 0.0247 1
O25 0.3444 0.1478 0.9207 1
O26 0.3470 0.5177 0.4127 1
O27 0.3614 0.5244 0.1295 1
O28 0.3808 0.1206 0.6338 1
O29 0.4425 0.6933 0.4645 1
O30 0.4640 0.6899 0.7483 1
O31 0.4714 0.8304 0.9671 1
O32 0.4734 0.6562 0.3597 1
O33 0.4852 0.8412 0.2528 1
O34 0.4899 0.8718 0.8528 1
O35 0.4992 0.6419 0.0704 1
O36 0.5019 0.8513 0.5680 1
O37 0.5084 0.3454 0.9198 1
O38 0.5087 0.3759 0.6396 1
O39 0.5187 0.1364 0.4129 1
O40 0.5301 0.1087 0.1315 1
O41 0.5298 0.2921 0.2396 1
O42 0.5369 0.1414 0.0264 1
O43 0.5400 0.2894 0.5250 1
O44 0.5444 0.1609 0.7452 1
O45 0.6402 0.4810 0.8473 1
O46 0.6429 0.8582 0.0705 1
O47 0.6462 0.5019 0.5691 1
O48 0.6559 0.8756 0.3577 1
O49 0.6921 0.8617 0.4630 1
O50 0.6928 0.8467 0.7495 1
O51 0.6970 0.4739 0.2542 1
O52 0.6980 0.4751 0.9638 1
O53 0.8018 0.0123 0.0793 1
O54 0.8085 0.9842 0.6913 1
O55 0.8094 0.1623 0.3011 1
O56 0.8102 0.0147 0.7961 1
O57 0.8164 0.1678 0.5868 1
O58 0.8302 0.6995 0.9669 1
O59 0.8314 0.9782 0.4051 1
O60 0.8341 0.6881 0.2555 1
O61 0.8345 0.2074 0.1878 1
O62 0.8423 0.4573 0.7489 1
O63 0.8434 0.1879 0.9000 1
O64 0.8507 0.6479 0.5680 1
O65 0.8576 0.4981 0.0702 1
O66 0.8618 0.4454 0.4629 1
O67 0.8734 0.6366 0.8526 1
O68 0.8756 0.4692 0.3576 1
O69 0.9553 0.8356 0.1889 1
O70 0.9696 0.8420 0.9004 1
O71 0.9787 0.1907 0.4048 1
O72 0.9819 0.2060 0.6921 1
```



[2]
Material: Na6Sc6Ta2Si5S7O48
Method: DFT, PBE
State: relaxed

## Properties
E_form (eV/atom): -2.769
Final energy (eV/atom): -7.2320

```
data_Na6Sc6Ta2Si5S7O48
_space_group_name_H-M_alt 'P 1'
_space_group_IT_number 1
_cell_length_a 8.9896
_cell_length_b 15.4853
_cell_length_c 23.1673
_cell_angle_alpha 89.80
_cell_angle_beta 89.96
_cell_angle_gamma 89.98
loop_
_space_group_symop_operation_xyz
'x,y,z'
loop_
_atom_site_label
_atom_site_fract_x
_atom_site_fract_y
_atom_site_fract_z
_atom_site_occupancy
Na1 0.0000 0.0000 0.0000 1
Na2 0.0001 0.6680 0.3270 1
Na3 0.0013 0.9994 0.4939 1
Na4 0.0024 0.6711 0.8272 1
Na5 0.1829 0.8496 0.0787 1
Na6 0.1890 0.4898 0.0812 1
Na7 0.3166 0.9894 0.5756 1
Na8 0.3213 0.3483 0.5764 1
Na9 0.4985 0.1644 0.3321 1
Na10 0.5022 0.1658 0.8262 1
Na11 0.5034 0.5003 0.4982 1
Na12 0.5043 0.5004 0.9964 1
Na13 0.5063 0.8316 0.6667 1
Na14 0.5057 0.8367 0.1586 1
Na15 0.6347 0.6710 0.0799 1
Na16 0.8671 0.1705 0.5776 1
Na17 0.9970 0.3359 0.6547 1
Na18 0.9982 0.3308 0.1697 1
Sc1 0.0005 0.6663 0.4729 1
Sc2 0.0022 0.3347 0.3017 1
Sc3 0.0079 0.0046 0.1394 1
Sc4 0.0086 0.6738 0.9806 1
Sc5 0.0086 0.9976 0.6456 1
Sc6 0.0125 0.6716 0.1803 1
Sc7 0.4907 0.1682 0.4771 1
Sc8 0.4917 0.1697 0.6776 1
Sc9 0.4951 0.4979 0.1472 1
Sc10 0.4961 0.5054 0.6368 1
Sc11 0.5004 0.8358 0.8009 1
Sc12 0.5023 0.1659 0.9747 1
Sc13 0.5071 0.8409 0.0200 1
Sc14 0.5088 0.8383 0.3140 1
Sc15 0.5117 0.8372 0.5055 1
Sc16 0.9825 0.3304 0.0106 1
Sc17 0.9904 0.3306 0.8111 1
Sc18 0.9947 0.3396 0.5191 1
Ta1 0.0076 0.9953 0.8423 1
Ta2 0.0105 0.6668 0.6823 1
Ta3 0.0160 0.0011 0.3518 1
Ta4 0.4934 0.1633 0.1860 1
Ta5 0.4950 0.4965 0.3426 1
Ta6 0.4975 0.5018 0.8471 1
Si1 0.1391 0.1445 0.2433 1
Si2 0.1461 0.5250 0.5757 1
Si3 0.2026 0.5036 0.2425 1
Si4 0.2062 0.1658 0.5772 1
Si5 0.2964 0.6653 0.0766 1
Si6 0.3007 0.0044 0.7421 1
Si7 0.3556 0.0259 0.0765 1
Si8 0.3597 0.6451 0.7427 1
Si9 0.3658 0.9826 0.4119 1
Si10 0.6446 0.3128 0.5781 1
Si11 0.6494 0.3547 0.2416 1
Si12 0.7053 0.3324 0.9100 1
Si13 0.7960 0.8319 0.4093 1
Si14 0.8535 0.8540 0.7412 1
Si15 0.8572 0.8142 0.0794 1
S1 0.1458 0.1873 0.9103 1
S2 0.1465 0.8106 0.5774 1
S3 0.1471 0.4800 0.9101 1
S4 0.1476 0.8571 0.2450 1
S5 0.2100 0.8347 0.9097 1
S6 0.2928 0.3356 0.4098 1
S7 0.3556 0.3572 0.7450 1
S8 0.3570 0.3108 0.0777 1
S9 0.3572 0.6865 0.4100 1
S10 0.6456 0.6469 0.2446 1
S11 0.6474 0.0204 0.5777 1
S12 0.6480 0.6882 0.9095 1
S13 0.6499 0.9798 0.9095 1
S14 0.7145 0.9999 0.2433 1
S15 0.7147 0.6693 0.5783 1
S16 0.7882 0.1683 0.0784 1
S17 0.7889 0.5006 0.7436 1
S18 0.8532 0.4796 0.4095 1
S19 0.8560 0.1891 0.4098 1
S20 0.8572 0.1460 0.7449 1
S21 0.8572 0.5208 0.0771 1
O1 0.0692 0.5754 0.6338 1
O2 0.0724 0.1001 0.9030 1
O3 0.0727 0.1005 0.1872 1
O4 0.0733 0.7722 0.2424 1
O5 0.0758 0.4282 0.5735 1
O6 0.0789 0.9015 0.2970 1
O7 0.0796 0.2273 0.9621 1
O8 0.0798 0.2400 0.2526 1
O9 0.0802 0.8979 0.5840 1
O10 0.0820 0.5667 0.9147 1
O11 0.0818 0.7719 0.5265 1
O12 0.0867 0.4370 0.8588 1
O13 0.0955 0.0809 0.5830 1
O14 0.1038 0.2522 0.5694 1
O15 0.1040 0.5905 0.2410 1
O16 0.1091 0.4172 0.2528 1
O17 0.1085 0.7590 0.9145 1
O18 0.1089 0.9160 0.9024 1
O19 0.1112 0.0816 0.3004 1
O20 0.1116 0.7562 0.6310 1
O21 0.1135 0.5856 0.5212 1
O22 0.1184 0.2410 0.8584 1
O23 0.1205 0.9080 0.1924 1
O24 0.1287 0.4282 0.9633 1
O25 0.1720 0.6525 0.7352 1
O26 0.1761 0.9899 0.4018 1
O27 0.1769 0.0143 0.8002 1
O28 0.1781 0.0109 0.0836 1
O29 0.1901 0.6441 0.0210 1
O30 0.1907 0.6845 0.1320 1
O31 0.1924 0.3223 0.0721 1
O32 0.1932 0.3489 0.7549 1
O33 0.1957 0.6755 0.4163 1
O34 0.1959 0.9877 0.6864 1
O35 0.2003 0.3253 0.3594 1
O36 0.2086 0.3514 0.4632 1
O37 0.2935 0.8502 0.9632 1
O38 0.3020 0.8241 0.8593 1
O39 0.3051 0.4875 0.1856 1
O40 0.3074 0.1773 0.9160 1
O41 0.3099 0.1856 0.6335 1
O42 0.3103 0.8195 0.5754 1
O43 0.3096 0.8468 0.2520 1
O44 0.3123 0.1443 0.5224 1
O45 0.3169 0.4883 0.9022 1
O46 0.3237 0.5109 0.5841 1
O47 0.3258 0.5144 0.2997 1
O48 0.3281 0.1524 0.2348 1
O49 0.3755 0.9239 0.4709 1
O50 0.3812 0.4086 0.6933 1
O51 0.3839 0.7389 0.3581 1
O52 0.3876 0.2570 0.1300 1
O53 0.3889 0.0850 0.0206 1
O54 0.3906 0.5813 0.8009 1
O55 0.3931 0.4174 0.4022 1
O56 0.3931 0.9177 0.7531 1
O57 0.3947 0.2613 0.4146 1
O58 0.3980 0.7518 0.0682 1
O59 0.3995 0.0912 0.7418 1
O60 0.4073 0.5803 0.0815 1
O61 0.4216 0.2722 0.0255 1
O62 0.4228 0.3987 0.0831 1
O63 0.4228 0.7392 0.7539 1
O64 0.4243 0.7240 0.4624 1
O65 0.4248 0.4030 0.7980 1
O66 0.4245 0.9341 0.3549 1
O67 0.4268 0.9290 0.0732 1
O68 0.4287 0.2725 0.7436 1
O69 0.4301 0.5981 0.4025 1
O70 0.4315 0.5985 0.6887 1
O71 0.4326 0.0787 0.4152 1
O72 0.4343 0.0759 0.1332 1
O73 0.5673 0.2692 0.5215 1
O74 0.5682 0.2589 0.2328 1
O75 0.5677 0.4074 0.5859 1
O76 0.5691 0.4041 0.2999 1
O77 0.5730 0.7315 0.2517 1
O78 0.5743 0.9338 0.5722 1
O79 0.5768 0.5969 0.9003 1
O80 0.5788 0.0593 0.6296 1
O81 0.5797 0.7210 0.9628 1
O82 0.5830 0.6076 0.1918 1
O83 0.5848 0.9400 0.8588 1
O84 0.5855 0.0674 0.9165 1
O85 0.5981 0.2503 0.9174 1
O86 0.6018 0.4218 0.8978 1
O87 0.6105 0.5891 0.2969 1
O88 0.6118 0.9257 0.2494 1
O89 0.6172 0.0818 0.2366 1
O90 0.6179 0.7465 0.5739 1
O91 0.6189 0.4141 0.1865 1
O92 0.6190 0.7406 0.8592 1
O93 0.6234 0.5911 0.5848 1
O94 0.6241 0.0740 0.5257 1
O95 0.6257 0.2503 0.6350 1
O96 0.6295 0.9271 0.9619 1
O97 0.6774 0.8186 0.0695 1
O98 0.6814 0.8424 0.7537 1
O99 0.6850 0.4910 0.4015 1
O100 0.6925 0.8172 0.3534 1
O101 0.6931 0.5138 0.7969 1
O102 0.6940 0.1822 0.1303 1
O103 0.6937 0.5120 0.0826 1
O104 0.6947 0.1762 0.4163 1
O105 0.6960 0.1539 0.7428 1
O106 0.6966 0.8521 0.4667 1
O107 0.6980 0.1576 0.0257 1
O108 0.7013 0.4865 0.6931 1
O109 0.8022 0.9886 0.1913 1
O110 0.8043 0.0151 0.2955 1
O111 0.8063 0.6573 0.5266 1
O112 0.8075 0.6527 0.2419 1
O113 0.8103 0.6728 0.9158 1
O114 0.8111 0.0129 0.5840 1
O115 0.8107 0.3527 0.9660 1
O116 0.8123 0.6809 0.6311 1
O117 0.8146 0.3220 0.8544 1
O118 0.8182 0.9913 0.9015 1
O119 0.8219 0.3426 0.2532 1
O120 0.8256 0.3189 0.5702 1
O121 0.8737 0.4272 0.4620 1
O122 0.8772 0.7491 0.1341 1
O123 0.8812 0.5742 0.0244 1
O124 0.8824 0.0913 0.0839 1
O125 0.8834 0.5813 0.7391 1
O126 0.8846 0.9145 0.6870 1
O127 0.8862 0.2464 0.0722 1
O128 0.8865 0.2417 0.3593 1
O129 0.8913 0.4263 0.7533 1
O130 0.8928 0.0896 0.7975 1
O131 0.8980 0.9215 0.3970 1
O132 0.9066 0.7506 0.4182 1
O133 0.9176 0.5670 0.4164 1
O134 0.9185 0.4399 0.3587 1
O135 0.9213 0.1086 0.6925 1
O136 0.9252 0.2228 0.4630 1
O137 0.9257 0.0985 0.4013 1
O138 0.9256 0.5585 0.1286 1
O139 0.9304 0.2316 0.7528 1
O140 0.9325 0.4344 0.0697 1
O141 0.9345 0.7581 0.7342 1
O142 0.9343 0.7705 0.0217 1
O143 0.9339 0.9037 0.8000 1
O144 0.9362 0.9080 0.0846 1
```



no.,total moment (Bohr magnetons per cell)
1,0.00
2,0.00